A relaxed structure of Pm2Mg, computed with r²SCAN.

Lattice parameters (Å, degrees): 3.8314 3.8314 6.9049 106.10 106.10 90.04
Fractional positions:
Pm 0.0948 0.9281 0.0229
Pm 0.4052 0.2385 0.6437
Mg 0.7500 0.5833 0.3333

Values from the calculation:
- relative energy among the computed polymorphs (meV per atom) = 10
- energy of formation (meV per atom) = -67
- final energy (eV per atom) = -21.1502

***

A relaxed structure of Pm2MgSi, computed with r²SCAN.

Lattice parameters (Å, degrees): 5.2058 5.2058 5.2058 60.00 60.00 60.00
Fractional positions:
Pm 0.0000 0.0000 0.0000
Pm 0.5000 0.5000 0.5000
Mg 0.2500 0.2500 0.2500
Si 0.7500 0.7500 0.7500

Values from the calculation:
- energy of formation (meV per atom) = -309
- final energy (eV per atom) = -18.3146

***

A relaxed structure of PmSmMg2, computed with r²SCAN.

Lattice parameters (Å, degrees): 5.4508 5.4508 5.4508 60.00 60.00 60.00
Fractional positions:
Pm 0.2500 0.2500 0.2500
Sm 0.7500 0.7500 0.7500
Mg 0.0000 0.0000 0.0000
Mg 0.5000 0.5000 0.5000

Values from the calculation:
- energy of formation (meV per atom) = -109
- final energy (eV per atom) = -17.0124

***

A relaxed structure of Pm2MgSn, computed with r²SCAN.

Lattice parameters (Å, degrees): 5.4015 5.4015 5.4015 60.02 60.02 60.02
Fractional positions:
Pm 0.9999 0.9999 0.9999
Pm 0.5000 0.5000 0.5000
Mg 0.2501 0.2501 0.2501
Sn 0.7500 0.7500 0.7500

Values from the calculation:
- energy of formation (meV per atom) = -487
- final energy (eV per atom) = -22.4861

***

A relaxed structure of PmMgTl2, computed with r²SCAN.

Lattice parameters (Å, degrees): 5.2915 5.2915 5.2915 60.00 60.00 60.00
Fractional positions:
Pm 0.0000 0.0000 0.0000
Mg 0.5000 0.5000 0.5000
Tl 0.2500 0.2500 0.2500
Tl 0.7500 0.7500 0.7500

Values from the calculation:
- energy of formation (meV per atom) = -309
- final energy (eV per atom) = -35.3264

***

A relaxed structure of PmYMg2, computed with r²SCAN.

Lattice parameters (Å, degrees): 5.4336 5.4336 5.4336 60.00 60.00 60.00
Fractional positions:
Pm 0.2500 0.2500 0.2500
Y 0.7500 0.7500 0.7500
Mg 0.5000 0.5000 0.5000
Mg 0.0000 0.0000 0.0000

Values from the calculation:
- energy of formation (meV per atom) = -109
- final energy (eV per atom) = -14.6571

***

A relaxed structure of PrMg2, computed with r²SCAN.

Lattice parameters (Å, degrees): 6.1524 6.1524 6.1524 60.00 60.00 60.00
Fractional positions:
Pr 0.8750 0.8750 0.8750
Pr 0.1250 0.1250 0.1250
Mg 0.5000 0.5000 0.5000
Mg 0.5000 0.5000 0.0000
Mg 0.0000 0.5000 0.5000
Mg 0.5000 0.0000 0.5000

Values from the calculation:
- energy of formation (meV per atom) = -123
- final energy (eV per atom) = -12.7042

***

A relaxed structure of PrMg3, computed with r²SCAN.

Lattice parameters (Å, degrees): 5.2434 5.2434 5.2434 60.00 60.00 60.00
Fractional positions:
Pr 0.0000 0.0000 0.0000
Mg 0.5000 0.5000 0.5000
Mg 0.2500 0.2500 0.2500
Mg 0.7500 0.7500 0.7500

Values from the calculation:
- energy of formation (meV per atom) = -138
- final energy (eV per atom) = -10.6157

***

A relaxed structure of Pr2Mg, computed with r²SCAN.

Lattice parameters (Å, degrees): 9.0554 9.0554 5.6658 90.00 90.00 155.10
Fractional positions:
Pr 0.0861 0.9139 0.2500
Pr 0.7721 0.2279 0.2500
Pr 0.9139 0.0861 0.7500
Pr 0.2279 0.7721 0.7500
Mg 0.4300 0.5700 0.2500
Mg 0.5700 0.4300 0.7500

Values from the calculation:
- relative energy among the computed polymorphs (meV per atom) = 0
- energy of formation (meV per atom) = -60
- final energy (eV per atom) = -21.0523

***

A relaxed structure of Pr2Mg, computed with r²SCAN.

Lattice parameters (Å, degrees): 6.9470 6.9470 6.9470 147.30 147.30 46.91
Fractional positions:
Pr 0.6538 0.6538 0.0000
Pr 0.3462 0.3462 0.0000
Mg 0.0000 0.0000 0.0000

Values from the calculation:
- relative energy among the computed polymorphs (meV per atom) = 1
- energy of formation (meV per atom) = -59
- final energy (eV per atom) = -21.0513

***

A relaxed structure of Pr2Mg, computed with r²SCAN.

Lattice parameters (Å, degrees): 6.9419 6.9419 7.8211 73.64 73.64 32.72
Fractional positions:
Pr 0.8488 0.8488 0.5701
Pr 0.1512 0.1512 0.4299
Pr 0.8419 0.8419 0.0841
Pr 0.1581 0.1581 0.9159
Mg 0.4959 0.4959 0.7580
Mg 0.5041 0.5041 0.2420

Values from the calculation:
- relative energy among the computed polymorphs (meV per atom) = 2
- energy of formation (meV per atom) = -58
- final energy (eV per atom) = -21.0499

***

A relaxed structure of Pr4MgRu, computed with r²SCAN.

Lattice parameters (Å, degrees): 10.0443 10.0443 10.0444 60.00 60.00 60.00
Fractional positions:
Pr 0.0613 0.4387 0.4387
Pr 0.1883 0.8117 0.1883
Pr 0.6562 0.6562 0.6562
Pr 0.4387 0.4387 0.0613
Pr 0.0613 0.4387 0.0613
Pr 0.4387 0.0613 0.0613
Pr 0.0613 0.0613 0.4387
Pr 0.6562 0.6562 0.0315
Pr 0.6562 0.0315 0.6562
Pr 0.1883 0.8117 0.8117
Pr 0.4387 0.0613 0.4387
Pr 0.1883 0.1883 0.8117
Pr 0.0315 0.6562 0.6562
Pr 0.8117 0.8117 0.1883
Pr 0.8117 0.1883 0.1883
Pr 0.8117 0.1883 0.8117
Mg 0.4220 0.4220 0.4220
Mg 0.4221 0.7339 0.4220
Mg 0.7339 0.4220 0.4220
Mg 0.4220 0.4220 0.7339
Ru 0.8627 0.8627 0.8627
Ru 0.4118 0.8627 0.8627
Ru 0.8627 0.4118 0.8627
Ru 0.8627 0.8627 0.4118

Values from the calculation:
- energy of formation (meV per atom) = -174
- final energy (eV per atom) = -24.7093

***

A relaxed structure of PrMgS3, computed with r²SCAN.

Lattice parameters (Å, degrees): 7.0135 7.0135 5.0270 82.29 82.29 108.14
Fractional positions:
Pr 0.1584 0.1584 0.6866
Pr 0.8416 0.8416 0.3134
Mg 0.3009 0.6991 0.0000
Mg 0.6991 0.3009 0.0000
S 0.0038 0.7102 0.8003
S 0.9962 0.2898 0.1997
S 0.2898 0.9962 0.1997
S 0.7102 0.0038 0.8003
S 0.4891 0.4891 0.2977
S 0.5109 0.5109 0.7023

Values from the calculation:
- energy of formation (meV per atom) = -1550
- final energy (eV per atom) = -13.0848

***

A relaxed structure of Pr2MgSi2, computed with r²SCAN.

Lattice parameters (Å, degrees): 7.4384 7.4384 4.4153 90.00 90.00 90.00
Fractional positions:
Pr 0.6803 0.1803 0.5000
Pr 0.3197 0.8197 0.5000
Pr 0.1803 0.3197 0.5000
Pr 0.8197 0.6803 0.5000
Mg 0.0000 0.0000 0.0000
Mg 0.5000 0.5000 0.0000
Si 0.1138 0.6138 0.0000
Si 0.8862 0.3862 0.0000
Si 0.6138 0.8862 0.0000
Si 0.3862 0.1138 0.0000

Values from the calculation:
- energy of formation (meV per atom) = -717
- final energy (eV per atom) = -16.8217

***

A relaxed structure of PrMgSi2, computed with r²SCAN.

Lattice parameters (Å, degrees): 4.2851 4.2851 18.6141 96.61 96.61 90.00
Fractional positions:
Pr 0.5475 0.7975 0.5951
Pr 0.7025 0.9525 0.9049
Pr 0.2975 0.0475 0.0951
Pr 0.4525 0.2025 0.4049
Mg 0.8750 0.1250 0.2500
Mg 0.3750 0.6250 0.2500
Mg 0.6250 0.3750 0.7500
Mg 0.1250 0.8750 0.7500
Si 0.0772 0.3272 0.6543
Si 0.2357 0.4857 0.9715
Si 0.0143 0.2643 0.5285
Si 0.7643 0.5143 0.0285
Si 0.9228 0.6728 0.3457
Si 0.9857 0.7357 0.4715
Si 0.8272 0.5772 0.1543
Si 0.1728 0.4228 0.8457

Values from the calculation:
- energy of formation (meV per atom) = -576
- final energy (eV per atom) = -13.3564

***

A relaxed structure of PrSmMg2, computed with r²SCAN.

Lattice parameters (Å, degrees): 5.4893 5.4893 5.4893 60.00 60.00 60.00
Fractional positions:
Pr 0.2500 0.2500 0.2500
Sm 0.7500 0.7500 0.7500
Mg 0.0000 0.0000 0.0000
Mg 0.5000 0.5000 0.5000

Values from the calculation:
- energy of formation (meV per atom) = -108
- final energy (eV per atom) = -16.9770

***

A relaxed structure of PrMgSn, computed with r²SCAN.

Lattice parameters (Å, degrees): 4.5291 4.5291 8.7553 104.99 104.99 90.00
Fractional positions:
Pr 0.6649 0.6649 0.3297
Pr 0.3351 0.3351 0.6703
Mg 0.5000 0.0000 0.0000
Mg 0.0000 0.5000 0.0000
Sn 0.8679 0.8679 0.7358
Sn 0.1321 0.1321 0.2642

Values from the calculation:
- energy of formation (meV per atom) = -693
- final energy (eV per atom) = -20.1326

***

A relaxed structure of Pr2MgTl, computed with r²SCAN.

Lattice parameters (Å, degrees): 5.5385 5.5385 5.5385 60.00 60.00 60.00
Fractional positions:
Pr 0.0000 0.0000 0.0000
Pr 0.5000 0.5000 0.5000
Mg 0.2500 0.2500 0.2500
Tl 0.7500 0.7500 0.7500

Values from the calculation:
- energy of formation (meV per atom) = -320
- final energy (eV per atom) = -29.3592

***

A relaxed structure of PrTmMg2, computed with r²SCAN.

Lattice parameters (Å, degrees): 5.4172 5.4172 5.4172 60.00 60.00 60.00
Fractional positions:
Pr 0.5000 0.5000 0.5000
Tm 0.0000 0.0000 0.0000
Mg 0.2500 0.2500 0.2500
Mg 0.7500 0.7500 0.7500

Values from the calculation:
- energy of formation (meV per atom) = -91
- final energy (eV per atom) = -18.3072

***

A relaxed structure of PrYMg4, computed with r²SCAN.

Lattice parameters (Å, degrees): 6.0995 6.0995 6.0995 60.00 60.00 60.00
Fractional positions:
Pr 0.0000 0.0000 0.0000
Y 0.2500 0.2500 0.2500
Mg 0.6249 0.6249 0.1253
Mg 0.6249 0.1253 0.6249
Mg 0.1253 0.6249 0.6249
Mg 0.6249 0.6249 0.6249

Values from the calculation:
- energy of formation (meV per atom) = -111
- final energy (eV per atom) = -11.1766